The following is a PBE calculation of a relaxed LuMg2Sc crystal, from the Materials Project.

a b c (Å): 7.3345 7.3345 7.3345
angles (deg): 90.00 90.00 90.00
With the nearest neighbours (Å) after each atom.
Space group Fm-3m (No. 225)
Asymmetric unit:
Lu (0.0000, 0.0000, 0.0000)  8 Mg 3.18
Mg (0.2500, 0.2500, 0.2500)  4 Sc 3.18, 4 Lu 3.18
Sc (0.0000, 0.0000, 0.5000)  8 Mg 3.18

DFT total energy ... -3.55 eV/atom
Energy of formation ... -34 meV/atom


The following is a PBE calculation of a relaxed Lu2MgTc crystal, from the Materials Project.

a b c (Å): 6.9977 6.9977 6.9977
angles (deg): 90.00 90.00 90.00
With the nearest neighbours (Å) after each atom.
Space group Fm-3m (No. 225)
Asymmetric unit:
Lu (0.2500, 0.2500, 0.2500)  4 Tc 3.03, 4 Mg 3.03
Mg (0.0000, 0.0000, 0.0000)  8 Lu 3.03
Tc (0.0000, 0.0000, 0.5000)  8 Lu 3.03

DFT total energy ... -5.31 eV/atom
Energy of formation ... -63 meV/atom


The following is a PBE calculation of a relaxed LuMgTl2 crystal, from the Materials Project.

a b c (Å): 7.4035 7.4035 7.4035
angles (deg): 90.00 90.00 90.00
With the nearest neighbours (Å) after each atom.
Space group Fm-3m (No. 225)
Asymmetric unit:
Lu (0.0000, 0.0000, 0.0000)  8 Tl 3.21
Mg (0.0000, 0.0000, 0.5000)  8 Tl 3.21
Tl (0.2500, 0.2500, 0.2500)  4 Mg 3.21, 4 Lu 3.21

DFT total energy ... -2.86 eV/atom
Energy of formation ... -153 meV/atom


> The lowest energy of formation belongs to which entry?

LuMgTl2


> What is the DFT total energy in the first record?

-3.55 eV/atom